[1]
A relaxed structure of U7Pd24S32. Source: Materials Project, functional GGA-PBE.

- E_form: -923 meV/atom
- Total magnetic moment: 0.029 μB per atom
- Energy: -5.996 eV/atom

Cell: 13.3816 13.3816 13.3816 Å, 90.00 90.00 90.00°
Closest atoms and distances in Å follow each position.
Space group Im-3 (No. 204)
One atom of each set of equivalent atoms:
U (0.0000, 0.0000, 0.5000) (multiplicity 6)  8 S 2.90
U (0.2500, 0.2500, 0.2500) (multiplicity 8)  8 S 2.76-2.90
Pd (0.0000, 0.1283, 0.2490) (multiplicity 24)  4 S 2.36-2.37
Pd (0.0000, 0.3762, 0.2495) (multiplicity 24)  4 S 2.37
S (0.1244, 0.1253, 0.3747) (multiplicity 48)  3 Pd 2.37
S (0.1309, 0.1309, 0.1309) (multiplicity 16)  3 Pd 2.36

***

[2]
A relaxed structure of U2PdS4. Source: Materials Project, functional GGA-PBE.

- E_form: -1542 meV/atom
- Energy: -7.585 eV/atom

Cell: 10.6306 13.1944 8.2322 Å, 90.00 90.00 90.00°
Closest atoms and distances in Å follow each position.
Space group Fdd2 (No. 43)
One atom of each set of equivalent atoms:
U (0.0515, 0.2765, 0.0000) (multiplicity 16)  7 S 2.73-2.83
Pd (0.0000, 0.0000, 0.3943) (multiplicity 8)  4 S 2.39-2.56
S (0.0301, 0.3730, 0.2933) (multiplicity 16)  4 U 2.73-2.79
S (0.0796, 0.3624, 0.7000) (multiplicity 16)  2 Pd 2.39-2.56

***

[3]
A relaxed structure of YPd3S4. Source: Materials Project, functional GGA-PBE.

- E_form: -1136 meV/atom
- Energy: -5.703 eV/atom

Cell: 6.7151 6.7151 6.7151 Å, 90.00 90.00 90.00°
Closest atoms and distances in Å follow each position.
Space group Pm-3n (No. 223)
One atom of each set of equivalent atoms:
Y (0.0000, 0.0000, 0.0000) (multiplicity 2)  8 S 2.91
Pd (0.0000, 0.2500, 0.5000) (multiplicity 6)  4 S 2.37
S (0.2500, 0.2500, 0.2500) (multiplicity 8)  3 Pd 2.37

***

What is the formula in the first record?
U7Pd24S32